# BaMgF4

Crystalline BaMgF4 at its relaxed geometry (r2SCAN, Materials Project).

The structure belongs to space group Cmcm (No. 63); the cell edges are 4.162, 14.204 and 5.766 Å and the angles 90.00°, 90.00° and 90.00°. The asymmetric unit holds Ba at (0.000, 0.142, 0.250), Mg at (0.000, 0.408, 0.250), F at (0.000, 0.083, 0.750), F at (0.000, 0.313, 0.012) and F at (0.000, 0.500, 0.000).

The calculation puts the total energy at -0.8204 Ry per atom.

# BaMnF4

Crystalline BaMnF4 at its relaxed geometry (r2SCAN, Materials Project).

The structure belongs to space group Cmc2_1 (No. 36); the cell edges are 4.258, 14.990 and 5.980 Å and the angles 90.00°, 90.00° and 90.00°. The asymmetric unit holds Ba at (0.000, 0.154, 0.000), Mn at (0.000, 0.415, 0.954), F at (0.000, 0.078, 0.434), F at (0.000, 0.299, 0.755), F at (0.000, 0.331, 0.228) and F at (0.000, 0.463, 0.612).

The calculation puts the total energy at -0.9167 Ry per atom.

# BaMoF7

Crystalline BaMoF7 at its relaxed geometry (r2SCAN, Materials Project).

The structure belongs to space group P2_1/c (No. 14); the cell edges are 5.381, 9.918 and 10.200 Å and the angles 90.00°, 91.62° and 90.00°. The asymmetric unit holds Ba at (0.200, 0.173, 0.008), Mo at (0.329, 0.605, 0.184), F at (0.041, 0.693, 0.239), F at (0.121, 0.544, 0.618), F at (0.179, 0.057, 0.627), F at (0.268, 0.694, 0.019), F at (0.377, 0.036, 0.378), F at (0.380, 0.546, 0.362) and F at (0.475, 0.242, 0.765).

The calculation puts the total energy at -0.8379 Ry per atom.

# BaNiF6

Crystalline BaNiF6 at its relaxed geometry (r2SCAN, Materials Project).

The structure belongs to space group R-3m (No. 166, hexagonal axes); the cell edges are 7.3151, 7.3151 and 6.9754 Å and the angles 90.00°, 90.00° and 120.00°. The asymmetric unit holds Ba at (0.0000, 0.0000, 0.0000), Ni at (0.0000, 0.0000, 0.5000) and F at (0.1075, 0.5537, 0.3189).

The calculation puts the total energy at -0.7259 Ry per atom.

# Ba2ScO3F

Crystalline Ba2ScO3F at its relaxed geometry (r2SCAN, Materials Project).

The structure belongs to space group I4mm (No. 107); the cell edges are 4.162, 4.162 and 13.611 Å and the angles 90.00°, 90.00° and 90.00°. The asymmetric unit holds Ba at (0.000, 0.000, 0.000), Ba at (0.000, 0.000, 0.275), Sc at (0.000, 0.000, 0.626), O at (0.000, 0.000, 0.477), O at (0.000, 0.500, 0.145) and F at (0.000, 0.000, 0.803).

The calculation puts the total energy at -1.1539 Ry per atom.

# BaPdF4

Crystalline BaPdF4 at its relaxed geometry (r2SCAN, Materials Project).

The structure belongs to space group I4/mcm (No. 140); the cell edges are 6.203, 6.203 and 10.890 Å and the angles 90.00°, 90.00° and 90.00°. The asymmetric unit holds Ba at (0.000, 0.000, 0.250), Pd at (0.000, 0.500, 0.000) and F at (0.161, 0.339, 0.128).

The calculation puts the total energy at -0.9628 Ry per atom.

So what do the calculations give for calculated density? Going down the list: 4.63 4.67 4.47 4.78 5.45 5.07 g/cm³.